(1)
Entry from Materials Project: an optimized crystal structure of FeSO8 (GGA+U).

Values from the calculation:
For the MP2020-corrected energy, the calculation gives -5.73 eV/atom. Its energy relative to the elements is -0.5074 eV/atom.

```
FeSO8
1.0
-6.542 9.193 8.183
-5.401 -3.844 0.001
-1.370 -7.142 6.928
Fe S O
4 4 32
direct
0.595 0.253 0.291 Fe
0.905 0.253 0.791 Fe
0.405 0.747 0.709 Fe
0.095 0.747 0.209 Fe
0.607 0.972 0.674 S
0.893 0.972 0.174 S
0.393 0.028 0.326 S
0.107 0.028 0.826 S
0.545 0.756 0.733 O
0.955 0.756 0.233 O
0.455 0.244 0.267 O
0.045 0.244 0.767 O
0.574 0.152 0.511 O
0.926 0.152 0.011 O
0.426 0.848 0.489 O
0.074 0.848 0.989 O
0.579 0.098 0.759 O
0.921 0.098 0.259 O
0.421 0.902 0.241 O
0.079 0.902 0.741 O
0.707 0.909 0.689 O
0.793 0.909 0.189 O
0.293 0.091 0.311 O
0.207 0.091 0.811 O
0.582 0.791 0.083 O
0.918 0.791 0.583 O
0.418 0.209 0.917 O
0.082 0.209 0.417 O
0.861 0.915 0.482 O
0.639 0.915 0.982 O
0.139 0.085 0.518 O
0.361 0.085 0.018 O
0.626 0.249 0.128 O
0.874 0.249 0.628 O
0.374 0.751 0.872 O
0.126 0.751 0.372 O
0.709 0.360 0.268 O
0.791 0.360 0.768 O
0.291 0.640 0.732 O
0.209 0.640 0.232 O
```

(2)
Entry from Materials Project: an optimized crystal structure of Li5Mn2P2C2O14 (GGA+U).

Values from the calculation:
For the MP2020-corrected energy, the calculation gives -7.44 eV/atom. Its energy relative to the elements is -2.3788 eV/atom.

```
Li5Mn2P2C2O14
1.0
-0.817 4.249 2.643
-3.543 4.276 -6.514
-5.882 -2.147 1.623
Li Mn P C O
5 2 2 2 14
direct
0.797 0.110 0.240 Li
0.272 0.268 0.471 Li
0.724 0.736 0.512 Li
0.728 0.729 0.970 Li
0.223 0.899 0.752 Li
0.203 0.663 0.248 Mn
0.799 0.332 0.755 Mn
0.725 0.415 0.258 P
0.263 0.588 0.744 P
0.697 0.038 0.740 C
0.321 0.958 0.262 C
0.945 0.060 0.754 O
0.416 0.088 0.292 O
0.527 0.161 0.726 O
0.792 0.315 0.066 O
0.857 0.310 0.437 O
0.424 0.443 0.297 O
0.158 0.426 0.739 O
0.835 0.579 0.244 O
0.572 0.571 0.745 O
0.155 0.698 0.561 O
0.160 0.688 0.933 O
0.486 0.827 0.245 O
0.615 0.898 0.742 O
0.071 0.939 0.248 O
```

(3)
Entry from Materials Project: an optimized crystal structure of Mn6O5F7 (GGA+U).

Values from the calculation:
For the MP2020-corrected energy, the calculation gives -7.58 eV/atom. Its energy relative to the elements is -2.4073 eV/atom.

```
Mn6O5F7
1.0
4.745 0.000 0.000
0.453 5.739 0.000
0.378 0.290 15.588
Mn O F
12 10 14
direct
0.011 0.848 0.416 Mn
0.966 0.162 0.243 Mn
0.981 0.828 0.088 Mn
0.973 0.836 0.750 Mn
0.973 0.169 0.578 Mn
0.999 0.159 0.908 Mn
0.488 0.643 0.594 Mn
0.508 0.657 0.920 Mn
0.505 0.644 0.254 Mn
0.506 0.363 0.088 Mn
0.519 0.348 0.411 Mn
0.531 0.364 0.751 Mn
0.765 0.117 0.141 O
0.785 0.119 0.467 O
0.772 0.114 0.802 O
0.710 0.608 0.145 O
0.726 0.384 0.305 O
0.717 0.391 0.641 O
0.728 0.616 0.813 O
0.283 0.614 0.027 O
0.290 0.618 0.363 O
0.266 0.603 0.698 O
0.769 0.882 0.309 F
0.759 0.889 0.635 F
0.772 0.889 0.972 F
0.739 0.621 0.485 F
0.749 0.391 0.976 F
0.246 0.388 0.194 F
0.280 0.374 0.519 F
0.294 0.379 0.859 F
0.233 0.887 0.199 F
0.239 0.877 0.529 F
0.219 0.117 0.348 F
0.241 0.122 0.026 F
0.241 0.880 0.860 F
0.213 0.100 0.687 F
```

(4)
Entry from Materials Project: an optimized crystal structure of Na3FeC6O17 (GGA+U).

Values from the calculation:
For the MP2020-corrected energy, the calculation gives -6.53 eV/atom. Its energy relative to the elements is -0.9077 eV/atom.

```
Na3FeC6O17
1.0
-8.715 0.293 -6.331
3.870 0.297 -10.053
-1.037 -13.728 -3.522
Na Fe C O
12 4 24 68
direct
0.269 0.731 0.250 Na
0.731 0.269 0.750 Na
0.998 0.002 0.250 Na
0.002 0.998 0.750 Na
0.227 0.037 0.973 Na
0.963 0.773 0.527 Na
0.773 0.963 0.027 Na
0.037 0.227 0.473 Na
0.416 0.676 0.998 Na
0.324 0.584 0.502 Na
0.584 0.324 0.002 Na
0.676 0.416 0.498 Na
0.559 0.819 0.756 Fe
0.181 0.441 0.744 Fe
0.441 0.181 0.244 Fe
0.819 0.559 0.256 Fe
0.723 0.952 0.813 C
0.048 0.277 0.687 C
0.277 0.048 0.187 C
0.952 0.723 0.313 C
0.700 0.010 0.707 C
0.990 0.300 0.793 C
0.300 0.990 0.293 C
0.010 0.700 0.207 C
0.607 0.555 0.814 C
0.445 0.393 0.686 C
0.393 0.445 0.186 C
0.555 0.607 0.314 C
0.705 0.577 0.722 C
0.423 0.295 0.778 C
0.295 0.423 0.278 C
0.577 0.705 0.222 C
0.295 0.959 0.782 C
0.041 0.705 0.718 C
0.705 0.041 0.218 C
0.959 0.295 0.282 C
0.311 0.892 0.689 C
0.108 0.689 0.811 C
0.689 0.108 0.311 C
0.892 0.311 0.189 C
0.492 0.944 0.006 O
0.056 0.508 0.494 O
0.508 0.056 0.994 O
0.944 0.492 0.506 O
0.207 0.808 0.983 O
0.192 0.793 0.517 O
0.793 0.192 0.017 O
0.808 0.207 0.483 O
0.318 0.434 0.991 O
0.566 0.682 0.509 O
0.682 0.566 0.009 O
0.434 0.318 0.491 O
0.188 0.301 0.012 O
0.699 0.812 0.488 O
0.812 0.699 0.988 O
0.301 0.188 0.512 O
0.203 0.413 0.019 O
0.587 0.797 0.481 O
0.797 0.587 0.981 O
0.413 0.203 0.519 O
0.672 0.856 0.848 O
0.144 0.328 0.652 O
0.328 0.144 0.152 O
0.856 0.672 0.348 O
0.618 0.967 0.674 O
0.033 0.382 0.826 O
0.382 0.033 0.326 O
0.967 0.618 0.174 O
0.213 0.999 0.145 O
0.001 0.787 0.355 O
0.787 0.001 0.855 O
0.999 0.213 0.645 O
0.241 0.907 0.338 O
0.093 0.759 0.162 O
0.759 0.093 0.662 O
0.907 0.241 0.838 O
0.530 0.660 0.843 O
0.340 0.470 0.657 O
0.470 0.340 0.157 O
0.660 0.530 0.343 O
0.702 0.698 0.690 O
0.302 0.298 0.810 O
0.298 0.302 0.310 O
0.698 0.702 0.190 O
0.394 0.557 0.145 O
0.443 0.606 0.355 O
0.606 0.443 0.855 O
0.557 0.394 0.645 O
0.222 0.516 0.314 O
0.484 0.778 0.186 O
0.778 0.484 0.686 O
0.516 0.222 0.814 O
0.398 0.928 0.825 O
0.072 0.602 0.675 O
0.602 0.072 0.175 O
0.928 0.398 0.325 O
0.423 0.820 0.668 O
0.180 0.577 0.832 O
0.577 0.180 0.332 O
0.820 0.423 0.168 O
0.809 0.969 0.187 O
0.031 0.191 0.313 O
0.191 0.031 0.813 O
0.969 0.809 0.687 O
0.787 0.087 0.353 O
0.913 0.213 0.147 O
0.213 0.913 0.647 O
0.087 0.787 0.853 O
```

(5)
Entry from Materials Project: an optimized crystal structure of Zr9W4O3 (GGA+U).

Values from the calculation:
For the MP2020-corrected energy, the calculation gives -9.60 eV/atom. Its energy relative to the elements is -0.6245 eV/atom.

```
Zr9W4O3
1.0
4.388 -7.600 0.000
4.388 7.600 0.000
0.000 0.000 8.601
Zr W O
18 8 6
direct
0.453 0.907 0.250 Zr
0.547 0.093 0.750 Zr
0.093 0.547 0.250 Zr
0.907 0.453 0.750 Zr
0.453 0.547 0.250 Zr
0.547 0.453 0.750 Zr
0.206 0.411 0.563 Zr
0.794 0.589 0.437 Zr
0.589 0.794 0.563 Zr
0.794 0.589 0.063 Zr
0.411 0.206 0.437 Zr
0.206 0.411 0.937 Zr
0.206 0.794 0.563 Zr
0.411 0.206 0.063 Zr
0.794 0.206 0.437 Zr
0.589 0.794 0.937 Zr
0.794 0.206 0.063 Zr
0.206 0.794 0.937 Zr
0.109 0.219 0.250 W
0.891 0.781 0.750 W
0.781 0.891 0.250 W
0.219 0.109 0.750 W
0.109 0.891 0.250 W
0.891 0.109 0.750 W
0.000 0.000 0.000 W
0.000 0.000 0.500 W
0.500 0.000 0.000 O
0.000 0.500 0.000 O
0.500 0.000 0.500 O
0.500 0.500 0.000 O
0.000 0.500 0.500 O
0.500 0.500 0.500 O
```

(6)
Entry from Materials Project: an optimized crystal structure of V3SbP6O24 (GGA+U).

Values from the calculation:
For the MP2020-corrected energy, the calculation gives -7.89 eV/atom. Its energy relative to the elements is -2.5198 eV/atom.

```
V3SbP6O24
1.0
-7.745 3.972 1.141
-5.231 -2.000 6.760
-1.338 5.640 6.593
V Sb P O
3 1 6 24
direct
0.142 0.142 0.142 V
0.359 0.359 0.359 V
0.641 0.641 0.641 V
0.858 0.858 0.858 Sb
0.033 0.461 0.751 P
0.461 0.751 0.033 P
0.751 0.033 0.461 P
0.253 0.966 0.531 P
0.531 0.253 0.966 P
0.966 0.531 0.253 P
0.140 0.500 0.283 O
0.283 0.140 0.500 O
0.061 0.284 0.925 O
0.500 0.283 0.140 O
0.216 0.431 0.574 O
0.020 0.637 0.768 O
0.284 0.925 0.061 O
0.431 0.574 0.216 O
0.574 0.216 0.431 O
0.217 0.994 0.364 O
0.077 0.945 0.719 O
0.364 0.217 0.994 O
0.637 0.768 0.020 O
0.925 0.061 0.284 O
0.768 0.020 0.637 O
0.425 0.786 0.559 O
0.559 0.425 0.786 O
0.719 0.077 0.945 O
0.994 0.364 0.217 O
0.786 0.559 0.425 O
0.495 0.723 0.860 O
0.945 0.719 0.077 O
0.723 0.860 0.495 O
0.860 0.495 0.723 O
```

(7)
Entry from Materials Project: an optimized crystal structure of LiMnPH2O5 (GGA+U).

Values from the calculation:
For the MP2020-corrected energy, the calculation gives -7.01 eV/atom. Its energy relative to the elements is -2.2067 eV/atom.

```
LiMnPH2O5
1.0
5.139 0.000 0.000
0.000 10.430 0.000
0.000 0.000 17.014
Li Mn P H O
8 8 8 16 40
direct
0.470 0.176 0.496 Li
0.530 0.176 0.996 Li
0.910 0.396 0.248 Li
0.090 0.396 0.748 Li
0.470 0.676 0.004 Li
0.530 0.676 0.504 Li
0.090 0.896 0.752 Li
0.910 0.896 0.252 Li
0.541 0.149 0.190 Mn
0.459 0.149 0.690 Mn
0.110 0.421 0.942 Mn
0.890 0.421 0.442 Mn
0.459 0.649 0.810 Mn
0.541 0.649 0.310 Mn
0.110 0.921 0.558 Mn
0.890 0.921 0.058 Mn
0.013 0.227 0.092 P
0.987 0.227 0.592 P
0.411 0.346 0.341 P
0.589 0.346 0.841 P
0.987 0.727 0.908 P
0.013 0.727 0.408 P
0.589 0.846 0.659 P
0.411 0.846 0.159 P
0.091 0.006 0.371 H
0.909 0.006 0.871 H
0.636 0.050 0.382 H
0.364 0.050 0.882 H
0.132 0.108 0.306 H
0.868 0.108 0.806 H
0.611 0.448 0.053 H
0.389 0.448 0.553 H
0.091 0.506 0.129 H
0.909 0.506 0.629 H
0.364 0.550 0.618 H
0.636 0.550 0.118 H
0.868 0.608 0.694 H
0.132 0.608 0.194 H
0.611 0.948 0.447 H
0.389 0.948 0.947 H
0.528 0.027 0.427 O
0.472 0.027 0.927 O
0.013 0.038 0.322 O
0.987 0.038 0.822 O
0.856 0.119 0.049 O
0.144 0.119 0.549 O
0.693 0.192 0.594 O
0.307 0.192 0.094 O
0.574 0.217 0.797 O
0.426 0.217 0.297 O
0.902 0.242 0.177 O
0.098 0.242 0.677 O
0.474 0.330 0.926 O
0.526 0.330 0.426 O
0.970 0.354 0.047 O
0.030 0.354 0.547 O
0.122 0.388 0.346 O
0.878 0.388 0.846 O
0.575 0.450 0.298 O
0.425 0.450 0.798 O
0.528 0.527 0.073 O
0.472 0.527 0.573 O
0.013 0.538 0.178 O
0.987 0.538 0.678 O
0.144 0.619 0.951 O
0.856 0.619 0.451 O
0.693 0.692 0.906 O
0.307 0.692 0.406 O
0.574 0.717 0.703 O
0.426 0.717 0.203 O
0.902 0.742 0.323 O
0.098 0.742 0.823 O
0.474 0.830 0.574 O
0.526 0.830 0.074 O
0.970 0.854 0.453 O
0.030 0.854 0.953 O
0.878 0.888 0.654 O
0.122 0.888 0.154 O
0.425 0.950 0.702 O
0.575 0.950 0.202 O
```

(8)
Entry from Materials Project: an optimized crystal structure of Na2AlFeSi4O12 (GGA+U).

Values from the calculation:
For the MP2020-corrected energy, the calculation gives -7.74 eV/atom. Its energy relative to the elements is -2.9442 eV/atom.

```
Na2AlFeSi4O12
1.0
4.392 4.835 0.000
-4.392 4.835 0.000
0.000 1.632 5.079
Na Al Fe Si O
2 1 1 4 12
direct
0.299 0.701 0.500 Na
0.701 0.299 0.000 Na
0.901 0.099 0.500 Al
0.098 0.902 0.000 Fe
0.801 0.615 0.484 Si
0.385 0.199 0.516 Si
0.199 0.378 0.021 Si
0.622 0.801 0.979 Si
0.961 0.813 0.395 O
0.187 0.039 0.605 O
0.029 0.190 0.131 O
0.810 0.971 0.869 O
0.895 0.377 0.548 O
0.623 0.105 0.452 O
0.100 0.615 0.951 O
0.385 0.900 0.049 O
0.658 0.643 0.258 O
0.357 0.342 0.742 O
0.348 0.361 0.238 O
0.639 0.652 0.762 O
```